No. 1
{"formula": "TeI4", "functional": "PBE", "state": "optimized geometry", "cell": [[5.273, 0.000, 0.000], [0.670, 6.284, 0.000], [1.188, 0.773, 48.853]], "species": ["Te", "Te", "Te", "Te", "Te", "Te", "I", "I", "I", "I", "I", "I", "I", "I", "I", "I", "I", "I", "I", "I", "I", "I", "I", "I", "I", "I", "I", "I", "I", "I"], "frac_coords": [[0.216, 0.711, 0.729], [0.497, 0.625, 0.629], [0.838, 0.545, 0.543], [0.162, 0.455, 0.457], [0.503, 0.375, 0.371], [0.784, 0.289, 0.271], [0.304, 0.405, 0.774], [0.628, 0.389, 0.677], [0.737, 0.920, 0.740], [0.106, 0.913, 0.650], [0.938, 0.329, 0.595], [0.246, 0.253, 0.514], [0.435, 0.833, 0.570], [0.754, 0.747, 0.486], [0.565, 0.167, 0.430], [0.894, 0.087, 0.350], [0.062, 0.671, 0.405], [0.263, 0.080, 0.260], [0.372, 0.611, 0.323], [0.574, 0.921, 0.183], [0.696, 0.595, 0.226], [0.957, 0.799, 0.110], [0.068, 0.439, 0.139], [0.282, 0.724, 0.026], [0.384, 0.370, 0.057], [0.718, 0.276, 0.974], [0.616, 0.630, 0.943], [0.932, 0.561, 0.861], [0.043, 0.201, 0.890], [0.426, 0.079, 0.817]], "e_above_lowest_polymorph_mev_per_atom": 166, "magmom_total_mub_per_atom": 0.0014, "e_form_mev_per_atom": -259}



No. 2
{"formula": "SiC", "functional": "PBE", "state": "optimized geometry", "cell": [[-2.053, 2.091, -0.994], [1.434, -1.845, -2.028], [-33.371, -30.704, 4.341]], "species": ["Si", "Si", "Si", "Si", "Si", "Si", "Si", "Si", "Si", "Si", "Si", "Si", "Si", "Si", "Si", "Si", "Si", "Si", "C", "C", "C", "C", "C", "C", "C", "C", "C", "C", "C", "C", "C", "C", "C", "C", "C", "C"], "frac_coords": [[0.000, 0.000, 0.222], [0.667, 0.333, 0.333], [0.333, 0.667, 0.722], [0.667, 0.333, 0.556], [0.000, 0.000, 0.444], [0.333, 0.667, 0.278], [0.000, 0.000, 0.667], [0.333, 0.667, 0.056], [0.333, 0.667, 0.611], [0.667, 0.333, 0.889], [0.000, 0.000, 0.833], [0.333, 0.667, 0.944], [0.667, 0.333, 0.111], [0.000, 0.000, 0.000], [0.333, 0.667, 0.167], [0.667, 0.333, 0.778], [0.333, 0.667, 0.389], [0.333, 0.667, 0.500], [0.333, 0.667, 0.542], [0.667, 0.333, 0.931], [0.000, 0.000, 0.042], [0.667, 0.333, 0.597], [0.000, 0.000, 0.264], [0.333, 0.667, 0.208], [0.333, 0.667, 0.431], [0.000, 0.000, 0.708], [0.667, 0.333, 0.153], [0.333, 0.667, 0.986], [0.333, 0.667, 0.764], [0.333, 0.667, 0.097], [0.333, 0.667, 0.319], [0.000, 0.000, 0.486], [0.667, 0.333, 0.819], [0.333, 0.667, 0.653], [0.000, 0.000, 0.875], [0.667, 0.333, 0.375]], "e_above_lowest_polymorph_mev_per_atom": 0, "e_form_mev_per_atom": -203}



No. 3
{"formula": "Gd3OsO7", "functional": "PBE", "state": "optimized geometry", "cell": [[7.453, 0.000, 0.000], [0.000, 10.697, 0.000], [0.000, 0.000, 14.983]], "species": ["Gd", "Gd", "Gd", "Gd", "Gd", "Gd", "Gd", "Gd", "Gd", "Gd", "Gd", "Gd", "Gd", "Gd", "Gd", "Gd", "Gd", "Gd", "Gd", "Gd", "Gd", "Gd", "Gd", "Gd", "Os", "Os", "Os", "Os", "Os", "Os", "Os", "Os", "O", "O", "O", "O", "O", "O", "O", "O", "O", "O", "O", "O", "O", "O", "O", "O", "O", "O", "O", "O", "O", "O", "O", "O", "O", "O", "O", "O", "O", "O", "O", "O", "O", "O", "O", "O", "O", "O", "O", "O", "O", "O", "O", "O", "O", "O", "O", "O", "O", "O", "O", "O", "O", "O", "O", "O"], "frac_coords": [[0.750, 0.944, 0.975], [0.004, 0.689, 0.361], [0.496, 0.689, 0.861], [0.496, 0.171, 0.611], [0.260, 0.902, 0.017], [0.504, 0.671, 0.389], [0.745, 0.916, 0.225], [0.996, 0.671, 0.889], [0.756, 0.457, 0.733], [0.245, 0.416, 0.275], [0.240, 0.902, 0.517], [0.244, 0.957, 0.267], [0.740, 0.402, 0.983], [0.760, 0.402, 0.483], [0.755, 0.916, 0.725], [0.256, 0.957, 0.767], [0.996, 0.189, 0.639], [0.504, 0.189, 0.139], [0.744, 0.457, 0.233], [0.250, 0.444, 0.025], [0.250, 0.444, 0.525], [0.004, 0.171, 0.111], [0.255, 0.416, 0.775], [0.750, 0.944, 0.475], [0.002, 0.679, 0.626], [0.002, 0.180, 0.875], [0.998, 0.680, 0.125], [0.998, 0.179, 0.374], [0.498, 0.679, 0.126], [0.502, 0.680, 0.625], [0.498, 0.180, 0.375], [0.502, 0.179, 0.874], [0.036, 0.051, 0.970], [0.251, 0.668, 0.591], [0.468, 0.281, 0.986], [0.239, 0.049, 0.628], [0.748, 0.690, 0.159], [0.545, 0.331, 0.809], [0.455, 0.831, 0.191], [0.031, 0.811, 0.221], [0.471, 0.557, 0.723], [0.529, 0.057, 0.277], [0.252, 0.190, 0.841], [0.533, 0.074, 0.761], [0.764, 0.814, 0.856], [0.969, 0.311, 0.779], [0.040, 0.022, 0.438], [0.234, 0.811, 0.878], [0.967, 0.074, 0.261], [0.734, 0.311, 0.622], [0.529, 0.806, 0.528], [0.752, 0.690, 0.659], [0.536, 0.551, 0.530], [0.968, 0.781, 0.514], [0.233, 0.545, 0.394], [0.761, 0.549, 0.372], [0.033, 0.574, 0.739], [0.236, 0.314, 0.144], [0.733, 0.045, 0.106], [0.540, 0.522, 0.062], [0.267, 0.545, 0.894], [0.766, 0.311, 0.122], [0.045, 0.831, 0.691], [0.471, 0.306, 0.472], [0.264, 0.314, 0.644], [0.266, 0.811, 0.378], [0.261, 0.049, 0.128], [0.751, 0.168, 0.909], [0.736, 0.814, 0.356], [0.249, 0.668, 0.091], [0.532, 0.781, 0.014], [0.460, 0.022, 0.938], [0.767, 0.045, 0.606], [0.960, 0.522, 0.562], [0.971, 0.057, 0.777], [0.464, 0.051, 0.470], [0.467, 0.574, 0.239], [0.029, 0.306, 0.972], [0.531, 0.311, 0.279], [0.248, 0.190, 0.341], [0.469, 0.811, 0.721], [0.739, 0.549, 0.872], [0.749, 0.168, 0.409], [0.029, 0.557, 0.223], [0.971, 0.806, 0.028], [0.964, 0.551, 0.030], [0.955, 0.331, 0.309], [0.032, 0.281, 0.486]], "magmom_total_mub_per_atom": 1.1520, "e_form_mev_per_atom": -3145}



No. 4
{"formula": "LiNdGe", "functional": "PBE", "state": "optimized geometry", "cell": [[0.000, 0.000, -4.377], [-3.657, -6.334, 0.000], [-3.657, 6.334, 0.000]], "species": ["Li", "Li", "Li", "Nd", "Nd", "Nd", "Ge", "Ge", "Ge"], "frac_coords": [[0.500, 0.000, 0.767], [0.500, 0.233, 0.233], [0.500, 0.767, 0.000], [0.000, 0.419, 0.000], [0.000, 0.000, 0.419], [0.000, 0.581, 0.581], [0.500, 0.333, 0.667], [0.500, 0.667, 0.333], [0.000, 0.000, 0.000]], "e_form_mev_per_atom": -683}



No. 5
{"formula": "Li10SiP2S12", "functional": "PBE", "state": "optimized geometry", "cell": [[-6.856, 0.860, -5.077], [-3.956, -6.646, 4.296], [-4.838, 8.735, 8.236]], "species": ["Li", "Li", "Li", "Li", "Li", "Li", "Li", "Li", "Li", "Li", "Li", "Li", "Li", "Li", "Li", "Li", "Li", "Li", "Li", "Li", "Si", "Si", "P", "P", "P", "P", "S", "S", "S", "S", "S", "S", "S", "S", "S", "S", "S", "S", "S", "S", "S", "S", "S", "S", "S", "S", "S", "S", "S", "S"], "frac_coords": [[0.989, 0.517, 0.953], [0.965, 0.517, 0.425], [0.511, 0.965, 0.550], [0.496, 0.996, 0.049], [0.259, 0.290, 0.157], [0.746, 0.746, 0.282], [0.217, 0.819, 0.753], [0.228, 0.756, 0.251], [0.755, 0.221, 0.351], [0.462, 0.519, 0.751], [0.229, 0.229, 0.365], [0.732, 0.255, 0.857], [0.245, 0.761, 0.005], [0.742, 0.265, 0.132], [0.764, 0.730, 0.690], [0.223, 0.258, 0.919], [0.748, 0.761, 0.008], [0.244, 0.721, 0.485], [0.783, 0.214, 0.626], [0.242, 0.211, 0.651], [0.997, 0.487, 0.183], [0.507, 0.991, 0.815], [0.993, 0.965, 0.502], [0.492, 0.515, 0.993], [0.009, 0.483, 0.685], [0.488, 0.009, 0.310], [0.989, 0.177, 0.443], [0.005, 0.794, 0.390], [0.295, 0.530, 0.901], [0.684, 0.530, 0.899], [0.495, 0.695, 0.097], [0.487, 0.310, 0.061], [0.196, 0.948, 0.588], [0.801, 0.946, 0.590], [0.007, 0.303, 0.070], [0.001, 0.700, 0.107], [0.213, 0.486, 0.601], [0.815, 0.491, 0.590], [0.485, 0.800, 0.375], [0.496, 0.179, 0.422], [0.293, 0.989, 0.902], [0.705, 0.996, 0.916], [0.994, 0.664, 0.788], [0.003, 0.281, 0.761], [0.787, 0.466, 0.269], [0.193, 0.478, 0.287], [0.516, 0.194, 0.725], [0.494, 0.800, 0.709], [0.686, 0.016, 0.221], [0.292, 0.031, 0.219]], "e_above_lowest_polymorph_mev_per_atom": 0, "magmom_total_mub_per_atom": 0.0001, "e_form_mev_per_atom": -1244}



No. 6
{"formula": "Er4LuNi10B10C5", "functional": "PBE", "state": "optimized geometry", "cell": [[3.498, 0.000, 0.000], [0.000, -7.010, 10.424], [-1.749, -5.254, -5.210]], "species": ["Er", "Er", "Er", "Er", "Lu", "Ni", "Ni", "Ni", "Ni", "Ni", "Ni", "Ni", "Ni", "Ni", "Ni", "B", "B", "B", "B", "B", "B", "B", "B", "B", "B", "C", "C", "C", "C", "C"], "frac_coords": [[0.400, 0.400, 0.800], [0.800, 0.800, 0.600], [0.200, 0.200, 0.400], [0.600, 0.600, 0.200], [0.000, 0.000, 0.000], [0.800, 0.550, 0.600], [0.600, 0.350, 0.200], [0.400, 0.150, 0.800], [0.200, 0.950, 0.400], [0.000, 0.750, 0.000], [0.200, 0.450, 0.400], [0.000, 0.250, 0.000], [0.800, 0.050, 0.600], [0.600, 0.850, 0.200], [0.400, 0.650, 0.800], [0.743, 0.385, 0.486], [0.543, 0.185, 0.086], [0.343, 0.985, 0.686], [0.143, 0.785, 0.286], [0.943, 0.585, 0.886], [0.257, 0.615, 0.514], [0.057, 0.415, 0.114], [0.857, 0.215, 0.714], [0.657, 0.015, 0.314], [0.457, 0.815, 0.914], [0.800, 0.300, 0.600], [0.599, 0.099, 0.197], [0.401, 0.901, 0.803], [0.200, 0.700, 0.400], [0.000, 0.500, 0.000]], "magmom_total_mub_per_atom": 0.0001, "e_form_mev_per_atom": -513}



No. 7
{"formula": "AlP3O9", "functional": "PBE", "state": "optimized geometry", "cell": [[-8.347, -6.065, 5.112], [10.287, -2.586, 4.481], [-0.015, 1.752, 9.204]], "species": ["Al", "Al", "Al", "Al", "Al", "Al", "P", "P", "P", "P", "P", "P", "P", "P", "P", "P", "P", "P", "P", "P", "P", "P", "P", "P", "O", "O", "O", "O", "O", "O", "O", "O", "O", "O", "O", "O", "O", "O", "O", "O", "O", "O", "O", "O", "O", "O", "O", "O", "O", "O", "O", "O", "O", "O", "O", "O", "O", "O", "O", "O", "O", "O", "O", "O", "O", "O", "O", "O", "O", "O", "O", "O", "O", "O", "O", "O", "O", "O"], "frac_coords": [[0.419, 0.595, 0.486], [0.595, 0.419, 0.986], [0.086, 0.925, 0.490], [0.925, 0.086, 0.990], [0.742, 0.233, 0.519], [0.233, 0.742, 0.019], [0.619, 0.675, 0.652], [0.675, 0.619, 0.152], [0.267, 0.995, 0.679], [0.995, 0.267, 0.179], [0.933, 0.326, 0.685], [0.326, 0.933, 0.185], [0.843, 0.906, 0.808], [0.906, 0.843, 0.308], [0.494, 0.221, 0.832], [0.221, 0.494, 0.332], [0.163, 0.560, 0.833], [0.560, 0.163, 0.333], [0.583, 0.881, 0.775], [0.881, 0.583, 0.275], [0.284, 0.253, 0.720], [0.253, 0.284, 0.220], [0.938, 0.574, 0.737], [0.574, 0.938, 0.237], [0.807, 0.233, 0.679], [0.233, 0.807, 0.179], [0.515, 0.588, 0.614], [0.588, 0.515, 0.114], [0.141, 0.921, 0.660], [0.921, 0.141, 0.160], [0.077, 0.371, 0.521], [0.371, 0.077, 0.021], [0.764, 0.809, 0.467], [0.809, 0.764, 0.967], [0.412, 0.037, 0.518], [0.037, 0.412, 0.018], [0.934, 0.259, 0.852], [0.259, 0.934, 0.352], [0.653, 0.594, 0.777], [0.594, 0.653, 0.277], [0.259, 0.916, 0.849], [0.916, 0.259, 0.349], [0.133, 0.181, 0.871], [0.181, 0.133, 0.371], [0.793, 0.482, 0.907], [0.482, 0.793, 0.407], [0.438, 0.829, 0.922], [0.829, 0.438, 0.422], [0.348, 0.398, 0.562], [0.398, 0.348, 0.062], [0.977, 0.718, 0.601], [0.718, 0.977, 0.101], [0.665, 0.029, 0.612], [0.029, 0.665, 0.112], [0.247, 0.534, 0.699], [0.534, 0.247, 0.199], [0.913, 0.913, 0.636], [0.913, 0.913, 0.136], [0.560, 0.186, 0.697], [0.186, 0.560, 0.197], [0.248, 0.672, 0.863], [0.672, 0.248, 0.363], [0.928, 0.035, 0.816], [0.035, 0.928, 0.316], [0.598, 0.327, 0.853], [0.327, 0.598, 0.353], [0.154, 0.298, 0.138], [0.298, 0.154, 0.638], [0.762, 0.558, 0.219], [0.558, 0.762, 0.719], [0.482, 0.954, 0.141], [0.954, 0.482, 0.641], [0.274, 0.393, 0.292], [0.393, 0.274, 0.792], [0.871, 0.681, 0.362], [0.681, 0.871, 0.862], [0.609, 0.064, 0.279], [0.064, 0.609, 0.779]], "e_above_lowest_polymorph_mev_per_atom": 21, "magmom_total_mub_per_atom": 0.0000, "e_form_mev_per_atom": -2821}



No. 8
{"formula": "Y2Re2Si2C", "functional": "PBE", "state": "optimized geometry", "cell": [[-5.031, -0.493, -2.904], [-4.213, -3.910, -0.975], [-6.305, 0.139, 2.920]], "species": ["Y", "Y", "Re", "Re", "Si", "Si", "C"], "frac_coords": [[0.427, 0.427, 0.300], [0.573, 0.573, 0.700], [0.793, 0.793, 0.092], [0.207, 0.207, 0.908], [0.858, 0.858, 0.683], [0.142, 0.142, 0.317], [0.000, 0.000, 0.000]], "magmom_total_mub_per_atom": 0.0000, "e_form_mev_per_atom": -624}



No. 9
{"formula": "Nd2O5", "functional": "PBE", "state": "optimized geometry", "cell": [[2.826, 6.425, 0.000], [-2.826, 6.425, 0.000], [0.000, 2.407, 5.554]], "species": ["Nd", "Nd", "Nd", "Nd", "O", "O", "O", "O", "O", "O", "O", "O", "O", "O"], "frac_coords": [[0.681, 0.100, 0.057], [0.900, 0.319, 0.443], [0.319, 0.900, 0.943], [0.100, 0.681, 0.557], [0.384, 0.993, 0.275], [0.007, 0.616, 0.225], [0.616, 0.007, 0.725], [0.993, 0.384, 0.775], [0.945, 0.055, 0.250], [0.055, 0.945, 0.750], [0.476, 0.720, 0.320], [0.280, 0.524, 0.180], [0.524, 0.280, 0.680], [0.720, 0.476, 0.820]], "e_form_mev_per_atom": -2680}



No. 10
{"formula": "PrBN2", "functional": "PBE", "state": "optimized geometry", "cell": [[4.246, -6.117, 0.000], [4.246, 6.117, 0.000], [-4.567, 0.000, 5.881]], "species": ["Pr", "Pr", "Pr", "Pr", "Pr", "Pr", "B", "B", "B", "B", "B", "B", "N", "N", "N", "N", "N", "N", "N", "N", "N", "N", "N", "N"], "frac_coords": [[0.250, 0.704, 0.796], [0.796, 0.250, 0.704], [0.704, 0.796, 0.250], [0.750, 0.296, 0.204], [0.204, 0.750, 0.296], [0.296, 0.204, 0.750], [0.750, 0.631, 0.869], [0.250, 0.369, 0.131], [0.131, 0.250, 0.369], [0.369, 0.131, 0.250], [0.869, 0.750, 0.631], [0.631, 0.869, 0.750], [0.510, 0.990, 0.750], [0.990, 0.750, 0.510], [0.250, 0.490, 0.010], [0.750, 0.510, 0.990], [0.490, 0.010, 0.250], [0.010, 0.250, 0.490], [0.872, 0.628, 0.750], [0.628, 0.750, 0.872], [0.750, 0.872, 0.628], [0.128, 0.372, 0.250], [0.372, 0.250, 0.128], [0.250, 0.128, 0.372]], "e_form_mev_per_atom": -1491}



Which E belongs to each record? In order, -1.804, -7.530, -10.716, -4.450, -4.402, -6.964, -7.308, -8.896, -7.244, -8.344 eV/atom.